(1)
## SnC2Cl2 (GGA-PBE)

Data for SnC2Cl2 after structural relaxation.

a b c (Å): 8.480 10.551 6.424
angles (deg): 90.00 90.00 90.00
Space group Imma (No. 74)
One atom of each set of equivalent atoms:
Sn 0.000 0.250 0.008 x4
C 0.198 0.250 0.817 x8
Cl 0.000 0.080 0.240 x8

Values from the calculation:
- Calculated density: 2.5 g/cm³
- Magnetic moment: 0.00 μB per formula unit



(2)
## SnC2Cl2 (GGA-PBE)

Data for SnC2Cl2 after structural relaxation.

a b c (Å): 5.277 11.374 8.567
angles (deg): 90.00 90.00 90.00
Space group Imma (No. 74)
One atom of each set of equivalent atoms:
Sn 0.000 0.250 0.052 x4
C 0.125 0.250 0.745 x8
Cl 0.000 0.080 0.264 x8

Values from the calculation:
- Calculated density: 2.8 g/cm³
- Magnetic moment: 0.00 μB per formula unit



Most stable structure: (1)